The following is a DFT calculation (meta-GGA r2SCAN) of an optimized crystal structure of Er2ZnGa.

a b c (Å): 7.0116 7.0116 7.0116
angles (deg): 90.00 90.00 90.00
With the nearest neighbours (Å) after each atom.
Space group Fm-3m (No. 225)
Inequivalent atoms, fractional coordinates:
Er: 0.2500 0.2500 0.2500 (multiplicity 8)  4 Zn 3.04, 4 Ga 3.04
Zn: 0.0000 0.0000 0.0000 (multiplicity 4)  8 Er 3.04
Ga: 0.0000 0.0000 0.5000 (multiplicity 4)  8 Er 3.04

The following is a DFT calculation (meta-GGA r2SCAN) of an optimized crystal structure of GdEr3.

a b c (Å): 7.1413 7.1413 5.7299
angles (deg): 90.00 90.00 120.00
With the nearest neighbours (Å) after each atom.
Space group P6_3/mmc (No. 194)
Inequivalent atoms, fractional coordinates:
Gd: 0.3333 0.6667 0.2500 (multiplicity 2)  12 Er 3.52-3.57
Er: 0.1675 0.3351 0.7500 (multiplicity 6)  4 Gd 3.52-3.57, 8 Er 3.54-3.59

The following is a DFT calculation (meta-GGA r2SCAN) of an optimized crystal structure of GdErIn2.

a b c (Å): 7.4997 7.4997 7.4997
angles (deg): 90.00 90.00 90.00
With the nearest neighbours (Å) after each atom.
Space group Fm-3m (No. 225)
Inequivalent atoms, fractional coordinates:
Gd: 0.0000 0.0000 0.0000 (multiplicity 4)  8 In 3.25
Er: 0.0000 0.0000 0.5000 (multiplicity 4)  8 In 3.25
In: 0.2500 0.2500 0.2500 (multiplicity 8)  4 Gd 3.25, 4 Er 3.25

The following is a DFT calculation (meta-GGA r2SCAN) of an optimized crystal structure of Gd3ErNi4.

a b c (Å): 3.7261 4.2005 10.1826
angles (deg): 90.00 90.00 90.00
With the nearest neighbours (Å) after each atom.
Space group Pmm2 (No. 25)
Inequivalent atoms, fractional coordinates:
Gd: 0.0000 0.0000 0.0000 (multiplicity 1)  7 Ni 2.85-3.01
Gd: 0.0000 0.5000 0.2824 (multiplicity 1)  7 Ni 2.86-2.90
Gd: 0.5000 0.5000 0.7755 (multiplicity 1)  7 Ni 2.84-3.00
Er: 0.5000 0.0000 0.5005 (multiplicity 1)  7 Ni 2.79-2.94
Ni: 0.0000 0.0000 0.7042 (multiplicity 1)  2 Ni 2.53, 2 Er 2.79
Ni: 0.0000 0.5000 0.5651 (multiplicity 1)  2 Ni 2.53
Ni: 0.5000 0.0000 0.2121 (multiplicity 1)  2 Ni 2.55, 2 Gd 2.85
Ni: 0.5000 0.5000 0.0699 (multiplicity 1)  2 Ni 2.55, 2 Gd 2.86

The following is a DFT calculation (meta-GGA r2SCAN) of an optimized crystal structure of Er3Ge4.

a b c (Å): 4.0153 10.5353 14.1108
angles (deg): 90.00 90.00 90.00
With the nearest neighbours (Å) after each atom.
Space group Cmcm (No. 63)
Inequivalent atoms, fractional coordinates:
Er: 0.0000 0.0475 0.2500 (multiplicity 4)  7 Ge 2.86-3.14
Er: 0.0000 0.3312 0.0967 (multiplicity 8)  8 Ge 2.94-3.06
Ge: 0.0000 0.0000 0.0000 (multiplicity 4)  4 Ge 2.83, 4 Er 3.01
Ge: 0.0000 0.2237 0.7500 (multiplicity 4)  2 Ge 2.58, 1 Er 2.86
Ge: 0.0000 0.3791 0.6089 (multiplicity 8)  3 Ge 2.58-2.83

The following is a DFT calculation (meta-GGA r2SCAN) of an optimized crystal structure of Er2Ge5.

a b c (Å): 3.8845 3.9711 18.4614
angles (deg): 90.00 90.00 90.00
With the nearest neighbours (Å) after each atom.
Space group Pmmn (No. 59, origin choice 2)
Inequivalent atoms, fractional coordinates:
Er: 0.2500 0.2500 0.1258 (multiplicity 2)  10 Ge 2.91-3.19
Er: 0.2500 0.7500 0.6879 (multiplicity 2)  10 Ge 2.93-3.24
Ge: 0.2500 0.2500 0.4340 (multiplicity 2)  1 Ge 2.47
Ge: 0.2500 0.2500 0.5679 (multiplicity 2)  1 Ge 2.47
Ge: 0.2500 0.2500 0.8263 (multiplicity 2)  2 Ge 2.52
Ge: 0.2500 0.7500 0.0039 (multiplicity 2)  4 Ge 2.78, 4 Er 3.00-3.08
Ge: 0.2500 0.7500 0.2610 (multiplicity 2)  2 Ge 2.52

The following is a DFT calculation (meta-GGA r2SCAN) of an optimized crystal structure of ErGe3.

a b c (Å): 3.9928 20.7731 3.8746
angles (deg): 90.00 90.00 90.00
With the nearest neighbours (Å) after each atom.
Space group Cmcm (No. 63)
Inequivalent atoms, fractional coordinates:
Er: 0.0000 0.0832 0.2500 (multiplicity 4)  10 Ge 2.93-3.23
Ge: 0.0000 0.1915 0.7500 (multiplicity 4)  1 Ge 2.47
Ge: 0.0000 0.3106 0.7500 (multiplicity 4)  1 Ge 2.47
Ge: 0.0000 0.4611 0.2500 (multiplicity 4)  2 Ge 2.52

The following is a DFT calculation (meta-GGA r2SCAN) of an optimized crystal structure of Er11Ge10.

a b c (Å): 10.7732 10.7732 16.2038
angles (deg): 90.00 90.00 90.00
With the nearest neighbours (Å) after each atom.
Space group I4/mmm (No. 139)
Inequivalent atoms, fractional coordinates:
Er: 0.0000 0.0000 0.1602 (multiplicity 4)  8 Ge 3.18-3.20
Er: 0.0000 0.2526 0.3099 (multiplicity 16)  6 Ge 2.84-3.17
Er: 0.0000 0.3242 0.1014 (multiplicity 16)  7 Ge 2.88-3.06
Er: 0.1767 0.1767 0.5000 (multiplicity 8)  2 Ge 2.72
Ge: 0.0000 0.0000 0.3835 (multiplicity 4)  8 Er 2.97-3.29
Ge: 0.0000 0.3571 0.5000 (multiplicity 8)  6 Er 2.72-2.94
Ge: 0.0000 0.5000 0.2500 (multiplicity 4)  8 Er 2.84-3.06
Ge: 0.1203 0.1203 0.0000 (multiplicity 8)  2 Ge 2.59
Ge: 0.2085 0.2085 0.1817 (multiplicity 16)  1 Ge 2.55

no.,energy of formation (eV/atom),density (Mg/m³)
1,-0.54,9.0
2,0.02,8.6
3,-0.56,8.7
4,-0.34,9.1
5,-0.84,8.8
6,-0.54,8.1
7,-0.45,8.0
8,-0.94,9.1